! CaFe4P4O16, optimized geometry, DFT PBE+U; values from VASP
! MP2020-corrected energy = -7.888 eV/atom
! Calculated density = 2.78 Mg/m³
! Total energy = -7.09 eV/atom
&SYSTEM
  ibrav = 0, nat = 25, ntyp = 4
/
ATOMIC_SPECIES
O 16.00 O.upf
Fe 55.84 Fe.upf
Ca 40.08 Ca.upf
P 30.97 P.upf
CELL_PARAMETERS angstrom
8.5875 -0.0193 0.3778
-0.0146 8.8534 0.0453
-1.7239 0.0267 4.9751
ATOMIC_POSITIONS crystal
O 0.6863 0.3795 0.2289
O 0.3331 0.3391 0.5002
O 0.8265 0.8264 0.2183
O 0.8419 0.1489 0.1324
O 0.6668 0.6673 0.4756
O 0.2461 0.0695 0.3643
O 0.1827 0.1732 0.7595
O 0.8083 0.3780 0.8360
O 0.5399 0.8889 0.1668
O 0.0189 0.6072 0.6755
O 0.1583 0.8536 0.8591
O 0.1851 0.6305 0.1681
O 0.3090 0.6170 0.7771
O 0.7576 0.9368 0.6036
O 0.4690 0.1150 0.7962
O 0.9757 0.3956 0.3286
Fe 0.1876 0.5054 0.4629
Fe 0.6791 0.9849 0.9109
Fe 0.3301 0.0166 0.0623
Fe 0.8086 0.4967 0.5367
Ca 0.0046 0.0000 0.4887
P 0.3114 0.1788 0.6039
P 0.6949 0.8247 0.3679
P 0.1707 0.6800 0.8819
P 0.8247 0.3222 0.1194

=====

! Ca2Fe3SbP6O24, optimized geometry, DFT PBE+U; values from VASP
! MP2020-corrected energy = -7.727 eV/atom
! Calculated density = 3.25 Mg/m³
! Total energy = -7.08 eV/atom
&SYSTEM
  ibrav = 0, nat = 36, ntyp = 5
/
ATOMIC_SPECIES
O 16.00 O.upf
Ca 40.08 Ca.upf
P 30.97 P.upf
Sb 121.76 Sb.upf
Fe 55.84 Fe.upf
CELL_PARAMETERS angstrom
-1.8283 0.7006 8.6940
-3.6330 -6.7214 4.5874
4.6096 -4.5201 6.1433
ATOMIC_POSITIONS crystal
O 0.8761 0.7089 0.4934
O 0.0753 0.7311 0.9379
O 0.5148 0.1226 0.2844
O 0.4404 0.2281 0.5799
O 0.2050 0.3795 0.9900
O 0.7701 0.4155 0.5657
O 0.7311 0.9379 0.0753
O 0.0608 0.9198 0.2740
O 0.5657 0.7701 0.4155
O 0.2740 0.0608 0.9198
O 0.0154 0.7878 0.6237
O 0.7089 0.4934 0.8761
O 0.9900 0.2050 0.3795
O 0.9379 0.0753 0.7311
O 0.4155 0.5657 0.7701
O 0.2844 0.5148 0.1226
O 0.1226 0.2844 0.5148
O 0.7878 0.6237 0.0154
O 0.4934 0.8761 0.7089
O 0.6237 0.0154 0.7878
O 0.5799 0.4404 0.2281
O 0.2281 0.5799 0.4404
O 0.3795 0.9900 0.2050
O 0.9198 0.2740 0.0608
Ca 0.0057 0.0057 0.0057
Ca 0.4999 0.4999 0.4999
P 0.0421 0.7478 0.4557
P 0.2522 0.5376 0.9580
P 0.4557 0.0421 0.7478
P 0.7478 0.4557 0.0421
P 0.5376 0.9580 0.2522
P 0.9580 0.2522 0.5376
Sb 0.8532 0.8532 0.8532
Fe 0.1485 0.1485 0.1485
Fe 0.6472 0.6472 0.6472
Fe 0.3519 0.3519 0.3519

=====

! CaTi2Fe2P6O24, optimized geometry, DFT PBE+U; values from VASP
! MP2020-corrected energy = -8.014 eV/atom
! Calculated density = 2.86 Mg/m³
! Total energy = -7.41 eV/atom
&SYSTEM
  ibrav = 0, nat = 35, ntyp = 5
/
ATOMIC_SPECIES
O 16.00 O.upf
P 30.97 P.upf
Ti 47.87 Ti.upf
Fe 55.84 Fe.upf
Ca 40.08 Ca.upf
CELL_PARAMETERS angstrom
-8.5297 -0.0368 -2.3192
-3.3272 -6.3827 -5.1309
-5.6026 -6.0251 3.2319
ATOMIC_POSITIONS crystal
O 0.7169 0.8682 0.4872
O 0.9966 0.6269 0.7967
O 0.6269 0.7967 0.9966
O 0.0800 0.9405 0.7273
O 0.2892 0.1334 0.5026
O 0.7807 0.5610 0.4184
O 0.3753 0.2105 0.9923
O 0.5783 0.2147 0.4427
O 0.0614 0.2739 0.9204
O 0.2147 0.4427 0.5783
O 0.7967 0.9966 0.6269
O 0.4872 0.7169 0.8682
O 0.9405 0.7273 0.0800
O 0.4427 0.5783 0.2147
O 0.9204 0.0614 0.2739
O 0.8682 0.4872 0.7169
O 0.1334 0.5026 0.2892
O 0.2105 0.9923 0.3753
O 0.2739 0.9204 0.0614
O 0.5026 0.2892 0.1334
O 0.5610 0.4184 0.7807
O 0.7273 0.0800 0.9405
O 0.4184 0.7807 0.5610
O 0.9923 0.3753 0.2105
P 0.7523 0.0337 0.4588
P 0.4588 0.7523 0.0337
P 0.5388 0.2504 0.9643
P 0.0337 0.4588 0.7523
P 0.9643 0.5388 0.2504
P 0.2504 0.9643 0.5388
Ti 0.3626 0.3626 0.3626
Ti 0.8516 0.8516 0.8516
Fe 0.1476 0.1476 0.1476
Fe 0.6420 0.6420 0.6420
Ca 0.0011 0.0011 0.0011

=====

! CaVFeP4O14, optimized geometry, DFT PBE+U; values from VASP
! MP2020-corrected energy = -7.970 eV/atom
! Calculated density = 2.98 Mg/m³
! Total energy = -7.32 eV/atom
&SYSTEM
  ibrav = 0, nat = 21, ntyp = 5
/
ATOMIC_SPECIES
O 16.00 O.upf
Fe 55.84 Fe.upf
P 30.97 P.upf
V 50.94 V.upf
Ca 40.08 Ca.upf
CELL_PARAMETERS angstrom
4.9073 0.0254 0.0784
0.0294 8.1502 -0.0074
-2.1904 0.0069 6.8531
ATOMIC_POSITIONS crystal
O 0.3918 0.9230 0.0938
O 0.1475 0.6754 0.9333
O 0.3999 0.7045 0.6359
O 0.1472 0.0718 0.4562
O 0.7423 0.8697 0.5100
O 0.9602 0.8161 0.1861
O 0.8300 0.1512 0.0587
O 0.8276 0.5627 0.5671
O 0.5615 0.1475 0.7138
O 0.5675 0.1908 0.3585
O 0.0344 0.2967 0.8240
O 0.5937 0.4204 0.8993
O 0.2694 0.3771 0.5049
O 0.4294 0.6573 0.2895
Fe 0.7684 0.0124 0.2639
P 0.7653 0.2665 0.8857
P 0.2214 0.7697 0.1248
P 0.6088 0.6983 0.5104
P 0.3782 0.2055 0.4902
V 0.2120 0.4993 0.7359
Ca 0.1990 0.9340 0.7449

=====

! CaVFeP4O14, optimized geometry, DFT PBE+U; values from VASP
! MP2020-corrected energy = -7.863 eV/atom
! Calculated density = 2.78 Mg/m³
! Total energy = -7.22 eV/atom
&SYSTEM
  ibrav = 0, nat = 21, ntyp = 5
/
ATOMIC_SPECIES
O 16.00 O.upf
P 30.97 P.upf
V 50.94 V.upf
Ca 40.08 Ca.upf
Fe 55.84 Fe.upf
CELL_PARAMETERS angstrom
4.9585 0.1793 0.1601
0.2804 8.6770 -0.3163
-2.1004 -0.3213 6.8073
ATOMIC_POSITIONS crystal
O 0.6022 0.1789 0.7029
O 0.1745 0.6474 0.9318
O 0.3580 0.6743 0.6036
O 0.6959 0.8512 0.5328
O 0.8499 0.2023 0.0435
O 0.0530 0.3364 0.8236
O 0.4435 0.8862 0.0829
O 0.5801 0.4429 0.8810
O 0.2629 0.3720 0.5096
O 0.1395 0.0910 0.5106
O 0.4642 0.6458 0.2723
O 0.5036 0.1604 0.3360
O 0.8245 0.5603 0.5623
O 0.0195 0.8195 0.1894
P 0.2680 0.7586 0.1179
P 0.5963 0.6888 0.5046
P 0.7768 0.3029 0.8697
P 0.3595 0.1990 0.5008
V 0.2026 0.5190 0.7138
Ca 0.3436 0.1343 0.0037
Fe 0.8152 0.9706 0.3349

=====

! CaVFeP4O14, optimized geometry, DFT PBE+U; values from VASP
! MP2020-corrected energy = -7.960 eV/atom
! Calculated density = 2.91 Mg/m³
! Total energy = -7.31 eV/atom
&SYSTEM
  ibrav = 0, nat = 21, ntyp = 5
/
ATOMIC_SPECIES
O 16.00 O.upf
P 30.97 P.upf
Ca 40.08 Ca.upf
Fe 55.84 Fe.upf
V 50.94 V.upf
CELL_PARAMETERS angstrom
-4.2181 2.0544 -1.6902
-2.2324 -7.3385 -3.2963
-1.4578 -2.5888 6.4186
ATOMIC_POSITIONS crystal
O 0.5617 0.1767 0.3608
O 0.5700 0.4118 0.9144
O 0.4125 0.6487 0.2726
O 0.7245 0.8561 0.4977
O 0.9886 0.8380 0.1608
O 0.4496 0.9068 0.0863
O 0.0183 0.3262 0.8376
O 0.1366 0.6847 0.9121
O 0.1601 0.0635 0.4797
O 0.2784 0.3640 0.5065
O 0.8505 0.5579 0.5228
O 0.5863 0.1516 0.7239
O 0.8394 0.1516 0.0678
O 0.4466 0.6734 0.6388
P 0.6198 0.6808 0.4881
P 0.7625 0.2749 0.8984
P 0.2432 0.7736 0.1059
P 0.3815 0.1953 0.5006
Ca 0.6709 0.8842 0.8390
Fe 0.7977 0.0158 0.2931
V 0.2097 0.4976 0.7262

=====

Q: The highest total energy belongs to which entry?
A: Ca2Fe3SbP6O24

=====

Q: Look up the total energy of the first one.
A: -7.09 eV/atom

=====

Q: Which formula does entry 3 have?
A: CaTi2Fe2P6O24